KYBeF6: relaxed, PBE.

Unit cell a=6.464 b=5.866 c=7.134 alpha=90.00 beta=112.90 gamma=90.00
Positions (direct):
K  0.071  0.250  0.204
K  0.929  0.750  0.796
Y  0.388  0.250  0.819
Y  0.612  0.750  0.181
Be  0.232  0.750  0.464
Be  0.768  0.250  0.536
F  0.014  0.750  0.264
F  0.232  0.535  0.595
F  0.232  0.965  0.595
F  0.320  0.501  0.034
F  0.320  0.999  0.034
F  0.441  0.750  0.409
F  0.559  0.250  0.591
F  0.680  0.001  0.966
F  0.680  0.499  0.966
F  0.768  0.035  0.405
F  0.768  0.465  0.405
F  0.986  0.250  0.736

Output
* space group: P2_1/m
* crystal system: monoclinic
* final energy: -6.107 eV/atom